Compound: LiTiCrSO8
Source: the Materials Project
Functional: GGA+U
Structure: relaxed

Values from the calculation:
SG: P1
Formation energy from the elements (eV/atom): -2.2914
Size of the total moment (μB per formula unit): 1.000

Lattice parameters (Å, degrees): 8.571 8.647 9.078 62.65 63.09 60.48
Fractional coordinates of all 36 atoms:
Li 0.000 0.000 0.000
Li 0.248 0.637 0.067
Li 0.612 0.021 0.079
Ti 0.190 0.216 0.373
Ti 0.480 0.492 0.513
Ti 0.687 0.704 0.874
Cr 0.092 0.388 0.700
Cr 0.589 0.321 0.183
Cr 0.803 0.104 0.696
S 0.308 0.887 0.190
S 0.374 0.817 0.688
S 0.866 0.600 0.188
O 0.066 0.477 0.198
O 0.132 0.185 0.843
O 0.144 0.348 0.502
O 0.190 0.849 0.145
O 0.203 0.816 0.835
O 0.219 0.075 0.212
O 0.233 0.499 0.657
O 0.335 0.971 0.528
O 0.349 0.745 0.354
O 0.437 0.219 0.210
O 0.470 0.636 0.651
O 0.494 0.881 0.049
O 0.506 0.845 0.731
O 0.515 0.370 0.377
O 0.531 0.542 0.032
O 0.589 0.271 0.664
O 0.734 0.543 0.359
O 0.793 0.885 0.752
O 0.801 0.170 0.155
O 0.803 0.126 0.866
O 0.841 0.568 0.053
O 0.845 0.795 0.141
O 0.855 0.542 0.751
O 0.972 0.152 0.505


Compound: LiZnCr3S6O24
Source: the Materials Project
Functional: GGA+U
Structure: relaxed

Values from the calculation:
SG: P1
Polymorph energy (0 for the lowest one) (meV/atom): 1
Formation energy from the elements (eV/atom): -2.0075
Size of the total moment (μB per formula unit): 9.001

Lattice parameters (Å, degrees): 8.312 8.317 8.900 62.20 62.33 60.36
Fractional coordinates of all 35 atoms:
Li 0.000 0.000 0.000
Zn 0.396 0.719 0.916
Cr 0.079 0.433 0.820
Cr 0.581 0.931 0.309
Cr 0.872 0.225 0.439
S 0.184 0.124 0.620
S 0.266 0.049 0.120
S 0.483 0.534 0.620
S 0.694 0.323 0.124
S 0.769 0.834 0.621
S 0.976 0.618 0.120
O 0.121 0.077 0.292
O 0.177 0.595 0.077
O 0.188 0.939 0.771
O 0.211 0.260 0.662
O 0.232 0.919 0.075
O 0.253 0.239 0.975
O 0.276 0.563 0.664
O 0.337 0.090 0.453
O 0.462 0.960 0.139
O 0.519 0.546 0.761
O 0.527 0.686 0.448
O 0.568 0.525 0.078
O 0.580 0.869 0.760
O 0.608 0.339 0.596
O 0.613 0.190 0.139
O 0.724 0.267 0.294
O 0.746 0.877 0.447
O 0.847 0.820 0.135
O 0.862 0.961 0.596
O 0.889 0.285 0.979
O 0.903 0.628 0.666
O 0.916 0.478 0.293
O 0.942 0.605 0.976
O 0.989 0.215 0.595


Compound: LiZnCr3S6O24
Source: the Materials Project
Functional: GGA+U
Structure: relaxed

Values from the calculation:
SG: P1
Polymorph energy (0 for the lowest one) (meV/atom): 0
Formation energy from the elements (eV/atom): -2.0087
Size of the total moment (μB per formula unit): 9.000

Lattice parameters (Å, degrees): 8.308 8.885 14.361 105.44 90.07 117.70
Fractional coordinates of all 70 atoms:
Li 0.000 0.000 0.000
Li 0.446 0.005 0.793
Zn 0.383 0.098 0.995
Zn 0.925 0.194 0.834
Cr 0.107 0.570 0.236
Cr 0.171 0.696 0.585
Cr 0.413 0.180 0.335
Cr 0.608 0.566 0.729
Cr 0.668 0.694 0.092
Cr 0.870 0.090 0.485
S 0.049 0.882 0.781
S 0.119 0.884 0.145
S 0.125 0.889 0.433
S 0.157 0.381 0.389
S 0.164 0.384 0.675
S 0.222 0.387 0.041
S 0.554 0.887 0.286
S 0.616 0.881 0.638
S 0.623 0.876 0.928
S 0.659 0.387 0.890
S 0.668 0.389 0.185
S 0.726 0.381 0.534
O 0.021 0.022 0.762
O 0.027 0.343 0.741
O 0.076 0.713 0.160
O 0.076 0.718 0.358
O 0.090 0.412 0.106
O 0.099 0.241 0.578
O 0.122 0.927 0.885
O 0.139 0.868 0.531
O 0.144 0.401 0.290
O 0.157 0.355 0.939
O 0.183 0.031 0.239
O 0.191 0.860 0.721
O 0.205 0.552 0.463
O 0.206 0.558 0.660
O 0.233 0.229 0.053
O 0.252 0.924 0.076
O 0.305 0.336 0.401
O 0.307 0.033 0.424
O 0.338 0.401 0.716
O 0.380 0.717 0.266
O 0.402 0.551 0.074
O 0.440 0.857 0.594
O 0.477 0.232 0.891
O 0.485 0.932 0.913
O 0.521 0.031 0.270
O 0.525 0.338 0.250
O 0.573 0.706 0.851
O 0.588 0.709 0.648
O 0.597 0.400 0.601
O 0.615 0.251 0.090
O 0.622 0.849 0.026
O 0.637 0.933 0.388
O 0.645 0.335 0.432
O 0.650 0.412 0.792
O 0.668 0.018 0.736
O 0.681 0.866 0.218
O 0.692 0.551 0.967
O 0.700 0.562 0.174
O 0.757 0.937 0.574
O 0.760 0.238 0.550
O 0.810 0.348 0.904
O 0.812 0.016 0.926
O 0.842 0.414 0.233
O 0.880 0.707 0.753
O 0.900 0.552 0.555
O 0.943 0.867 0.100
O 0.973 0.236 0.396
O 0.976 0.933 0.421


Compound: Li6Cr3Sb3O16
Source: the Materials Project
Functional: GGA+U
Structure: relaxed

Values from the calculation:
SG: Cm
Formation energy from the elements (eV/atom): -2.1275
Size of the total moment (μB per formula unit): 6.999

Lattice parameters (Å, degrees): 6.047 6.047 10.026 90.15 90.15 60.31
Fractional coordinates of all 28 atoms:
Li 0.000 0.000 0.000
Li 0.001 0.001 0.507
Li 0.341 0.341 0.392
Li 0.351 0.351 0.004
Li 0.678 0.678 0.883
Li 0.681 0.681 0.503
Cr 0.181 0.677 0.719
Cr 0.677 0.181 0.719
Cr 0.844 0.844 0.219
Sb 0.181 0.181 0.718
Sb 0.349 0.844 0.219
Sb 0.844 0.349 0.219
O 0.011 0.011 0.326
O 0.013 0.013 0.821
O 0.044 0.502 0.826
O 0.166 0.166 0.107
O 0.172 0.704 0.112
O 0.315 0.855 0.612
O 0.345 0.345 0.608
O 0.495 0.495 0.815
O 0.502 0.044 0.826
O 0.521 0.983 0.328
O 0.523 0.523 0.331
O 0.679 0.679 0.105
O 0.704 0.172 0.112
O 0.855 0.315 0.612
O 0.859 0.859 0.623
O 0.983 0.521 0.328